--- P ---
PBE+U BaSr3Co4O12, optimized geometry; calculated volume = 253.8 Å³/f.u.; total magnetic moment = 0.002 μB per formula unit
1.0
-0.4907 1.8374 -4.4011
-3.0338 4.1687 2.0322
7.9484 5.1230 1.3622
O Sr Co Ba
12 3 4 1
Direct
0.7590 0.2692 0.5799
0.2494 0.2235 0.9168
0.7502 0.7745 0.0724
0.2497 0.0011 0.1464
0.7494 0.9996 0.8451
0.7496 0.2294 0.0741
0.2499 0.2690 0.4300
0.7504 0.7279 0.5804
0.2501 0.7716 0.9149
0.7423 0.5012 0.3527
0.2409 0.7346 0.4302
0.2606 0.4991 0.6555
0.2475 0.9990 0.6672
0.7449 0.4989 0.8319
0.7542 0.0011 0.3374
0.9998 0.9996 0.9952
0.5000 0.5000 0.5043
0.0009 0.5002 0.5045
0.4998 0.9997 0.9953
0.2515 0.5009 0.1656

***

--- Q ---
PBE+U BaSr3Co4O12, optimized geometry; calculated volume = 252.9 Å³/f.u.; total magnetic moment = 0.098 μB per formula unit
1.0
0.0004 -0.0008 -4.7668
-2.7674 -4.7949 -0.0006
-8.2997 4.7936 0.0014
O Co Ba Sr
12 4 1 3
Direct
0.7501 0.7280 0.5789
0.7499 0.0004 0.8440
0.2499 0.2686 0.4311
0.2500 0.4995 0.6563
0.2500 0.7360 0.4304
0.2499 0.7744 0.9176
0.7500 0.5009 0.3517
0.2499 0.2290 0.9157
0.2501 0.9988 0.1479
0.7500 0.7701 0.0734
0.7501 0.2276 0.0720
0.7500 0.2674 0.5793
0.4996 0.5000 0.5042
0.5000 0.0002 0.9955
0.0000 0.0002 0.9955
0.0004 0.5000 0.5042
0.2500 0.5001 0.1664
0.2499 0.0005 0.6682
0.7502 0.4991 0.8311
0.7502 0.9992 0.3365

***

Stability, highest: Q

***

--- P ---
PBE+U Ba2YTlCo2O7, optimized geometry; calculated volume = 198.2 Å³/f.u.; total magnetic moment = 0.027 μB per formula unit
1.0
3.9591 0.0164 0.0000
0.0347 7.8450 -0.0027
0.0011 0.0028 12.7618
Ba O Tl Y Co
4 14 2 2 4
Direct
0.4994 0.2464 0.7930
0.5022 0.7555 0.7923
0.5017 0.2551 0.2065
0.5029 0.7474 0.2055
0.5043 0.0024 0.6132
0.0057 0.7557 0.6128
0.9933 0.9961 0.1658
0.9912 0.4963 0.1613
0.9921 0.9969 0.8384
0.5025 0.5020 0.3891
0.0044 0.2477 0.6116
0.5023 0.0016 0.3869
0.5051 0.5015 0.6161
0.4616 0.7170 0.9974
0.4401 0.2322 0.9993
0.9945 0.4964 0.8226
0.0035 0.2562 0.3856
0.0031 0.7466 0.3863
0.0351 0.0217 0.0019
0.0448 0.5178 0.9943
0.5013 0.2558 0.5022
0.5039 0.7470 0.5024
0.0036 0.0015 0.6241
0.0016 0.0013 0.3754
0.9973 0.5005 0.6426
0.0024 0.5014 0.3735

***

--- Q ---
PBE+U Ba2YTlCo2O7, optimized geometry; calculated volume = 197.5 Å³/f.u.; total magnetic moment = 0.000 μB per formula unit
1.0
5.1044 -1.9034 1.3640
2.3473 4.2042 -2.8837
-1.4713 10.1576 8.1983
Tl Y O Co Ba
2 2 14 4 4
Direct
0.0392 0.9635 0.0000
0.4611 0.4658 0.0000
0.2495 0.2460 0.5000
0.7511 0.7474 0.5001
0.4252 0.5908 0.8296
0.4378 0.0552 0.0008
0.0602 0.9384 0.6156
0.4403 0.0570 0.3837
0.9425 0.0552 0.3864
0.5568 0.9395 0.6125
0.4402 0.5543 0.3849
0.9035 0.0918 0.8283
0.0742 0.9182 0.1713
0.0581 0.5544 0.9992
0.0618 0.4369 0.6159
0.5950 0.4214 0.1706
0.9446 0.5520 0.3872
0.5577 0.4369 0.6136
0.8171 0.1798 0.6345
0.6833 0.3143 0.3672
0.1837 0.8129 0.3669
0.3172 0.6804 0.6318
0.6077 0.8925 0.2097
0.1008 0.3919 0.2073
0.3990 0.1011 0.7927
0.8926 0.6024 0.7902

***

--- R ---
PBE+U Ba2YTlCo2O7, optimized geometry; calculated volume = 194.6 Å³/f.u.; total magnetic moment = 0.177 μB per formula unit
1.0
1.6646 -2.8224 2.1686
10.9956 6.1428 -0.4228
-0.9690 1.9550 3.2675
O Tl Y Ba Co
7 1 1 2 2
Direct
0.4996 0.3860 0.0003
0.9999 0.8190 0.0001
0.4994 0.9999 0.4980
0.9997 0.3857 0.5004
0.9999 0.1797 0.0002
0.5026 0.6139 0.9999
0.0001 0.6134 0.4978
0.0018 0.0004 0.0005
0.5003 0.5004 0.4997
0.4979 0.7926 0.5019
0.5001 0.2080 0.5000
0.9999 0.3590 0.0000
0.9987 0.6419 0.0012

***

Stability, highest: Q

***

--- P ---
PBE+U Ba2YTlCo2O7, optimized geometry; calculated volume = 198.3 Å³/f.u.; total magnetic moment = 0.000 μB per formula unit
1.0
-3.9886 3.9944 -0.0008
0.0017 0.0012 12.6209
3.9335 3.9376 -0.0010
O Ba Co Tl Y
14 4 4 2 2
Direct
0.5103 0.1682 0.4951
0.0587 0.0001 0.4504
0.5101 0.8319 0.4950
0.7507 0.6136 0.2530
0.7495 0.6138 0.7528
0.2502 0.6139 0.7523
0.7497 0.3865 0.7529
0.9891 0.1690 0.9956
0.2504 0.3857 0.7524
0.9887 0.8313 0.9954
0.2501 0.3858 0.2525
0.2500 0.6141 0.2524
0.7508 0.3864 0.2530
0.4395 0.0001 0.9498
0.9969 0.7917 0.5030
0.9970 0.2083 0.5031
0.5031 0.2083 0.0028
0.5031 0.7917 0.0027
0.5000 0.3698 0.5022
0.0004 0.6313 0.0022
0.5000 0.6300 0.5022
0.0002 0.3685 0.0023
0.4603 0.0000 0.5352
0.0406 0.0000 0.0371
0.5004 0.5000 0.0021
0.9999 0.5000 0.5021

***

--- Q ---
PBE+U Ba2YTlCo2O7, optimized geometry; calculated volume = 197.1 Å³/f.u.; total magnetic moment = 0.001 μB per formula unit
1.0
-3.7142 -0.6260 1.1359
2.7682 5.0641 11.8274
-1.4204 7.8538 -0.3408
O Y Ba Co Tl
14 2 4 4 2
Direct
0.4981 0.0000 0.3032
0.4969 0.0001 0.8022
0.0049 0.6152 0.9394
0.5006 0.6133 0.1899
0.5011 0.6134 0.6899
0.9972 0.6150 0.4394
0.9972 0.3850 0.0557
0.5008 0.3865 0.8042
0.9975 0.8296 0.0892
0.9989 0.8289 0.5893
0.9976 0.1709 0.9189
0.9989 0.1709 0.4187
0.0049 0.3848 0.5559
0.5009 0.3865 0.3042
0.5011 0.5000 0.9977
0.5010 0.4999 0.4981
0.4920 0.7914 0.3503
0.4921 0.2086 0.1424
0.5076 0.2086 0.6420
0.5076 0.7914 0.8507
0.0011 0.6333 0.6805
0.0006 0.3670 0.3147
0.0005 0.6325 0.1809
0.0009 0.3669 0.8147
0.0001 0.9999 0.4641
0.0000 0.0002 0.9637

***

Stability, highest: P

***

--- P ---
PBE+U BaTmCo4O7, optimized geometry; calculated volume = 180.2 Å³/f.u.; total magnetic moment = 12.999 μB per formula unit
1.0
-0.4272 3.5514 5.2624
1.4294 -6.1811 0.4893
9.9740 2.2107 -0.6278
O Co Ba Tm
14 8 2 2
Direct
0.1220 0.3236 0.4988
0.6750 0.7863 0.4958
0.9955 0.9979 0.2592
0.7863 0.6750 0.9958
0.2162 0.8915 0.4983
0.9968 0.5137 0.7522
0.8915 0.2162 0.9983
0.9979 0.9955 0.7592
0.0030 0.5175 0.2537
0.5175 0.0030 0.7537
0.4863 0.4839 0.7518
0.3236 0.1220 0.9988
0.4839 0.4863 0.2518
0.5137 0.9968 0.2522
0.1846 0.8446 0.6900
0.8446 0.1846 0.1900
0.9961 0.9983 0.4490
0.6634 0.8180 0.6898
0.1547 0.3358 0.6920
0.9983 0.9961 0.9490
0.3358 0.1547 0.1920
0.8180 0.6634 0.1898
0.3319 0.6645 0.9983
0.6645 0.3319 0.4983
0.6669 0.3321 0.8722
0.3321 0.6669 0.3722

***

--- Q ---
PBE+U BaTmCo4O7, optimized geometry; calculated volume = 180.3 Å³/f.u.; total magnetic moment = 11.500 μB per formula unit
1.0
-2.4443 -2.9980 5.0617
9.4622 -2.1792 3.2785
0.2032 9.4570 5.6995
Co O Tm Ba
16 28 4 4
Direct
0.5028 0.4454 0.4990
0.2441 0.6925 0.4141
0.9972 0.4454 0.9990
0.0077 0.6887 0.1714
0.4972 0.9454 0.5010
0.9923 0.1887 0.8286
0.7458 0.6851 0.9189
0.7542 0.6851 0.4189
0.5077 0.1887 0.3286
0.0028 0.9454 0.0010
0.4923 0.6887 0.6714
0.2542 0.1851 0.0811
0.7441 0.1925 0.0859
0.2458 0.1851 0.5811
0.7559 0.1925 0.5859
0.2559 0.6925 0.9141
0.2632 0.2286 0.7526
0.4993 0.2445 0.9918
0.2279 0.4992 0.9039
0.5567 0.9969 0.3399
0.9993 0.7445 0.5082
0.2665 0.9920 0.0605
0.7279 0.9992 0.5961
0.7368 0.7286 0.2474
0.7721 0.9992 0.0961
0.0567 0.4969 0.1601
0.7665 0.4920 0.4395
0.2368 0.2286 0.2526
0.2662 0.7809 0.7570
0.4433 0.4969 0.6601
0.5007 0.7445 0.0082
0.2721 0.4992 0.4039
0.9433 0.9969 0.8399
0.5016 0.2556 0.4983
0.9984 0.2556 0.9983
0.4984 0.7556 0.5017
0.0007 0.2445 0.4918
0.0016 0.7556 0.0017
0.7335 0.4920 0.9395
0.7632 0.7286 0.7474
0.2338 0.7809 0.2570
0.7338 0.2809 0.2430
0.7662 0.2809 0.7430
0.2335 0.9920 0.5605
0.5105 0.8701 0.1691
0.9895 0.8701 0.6691
0.0105 0.3701 0.3309
0.4895 0.3701 0.8309
0.4989 0.0001 0.8351
0.0011 0.0001 0.3351
0.5011 0.5001 0.1649
0.9989 0.5001 0.6649

***

Stability, highest: P